A relaxed Na2Cu3H8Se4O16 crystal. Source: Materials Project, functional GGA-PBE.

Cell: 5.2871 9.1693 16.0079 Å, 90.00 92.50 90.00°
Space group P2_1/c (No. 14)
Asymmetric unit:
Na 0.2381 0.1377 0.4607 [4 per cell]
Cu 0.1986 0.0738 0.6715 [4 per cell]
Cu 0.5000 0.0000 0.0000 [2 per cell]
H 0.0544 0.0311 0.9141 [4 per cell]
H 0.1180 0.7487 0.6809 [4 per cell]
H 0.2326 0.7132 0.0939 [4 per cell]
H 0.2963 0.0705 0.8623 [4 per cell]
Se 0.2898 0.0354 0.2265 [4 per cell]
Se 0.3007 0.7180 0.9018 [4 per cell]
O 0.0335 0.6208 0.9269 [4 per cell]
O 0.0873 0.6079 0.7538 [4 per cell]
O 0.1282 0.6727 0.1381 [4 per cell]
O 0.2262 0.0772 0.9203 [4 per cell]
O 0.2279 0.0522 0.1219 [4 per cell]
O 0.3745 0.7050 0.4997 [4 per cell]
O 0.4216 0.0594 0.7731 [4 per cell]
O 0.4848 0.0725 0.5948 [4 per cell]

Computed properties:
The total moment is 6.00 Bohr magnetons per cell.

=====

A relaxed Na2Cu2Si4H4O13 crystal. Source: Materials Project, functional GGA-PBE.

Cell: 5.2683 6.4574 8.7928 Å, 101.87 93.62 103.10°
Space group P-1 (No. 2)
Asymmetric unit:
Na 0.1425 0.1391 0.3010 [2 per cell]
Cu 0.2976 0.6217 0.5769 [2 per cell]
Si 0.0268 0.6138 0.1858 [2 per cell]
Si 0.3927 0.1689 0.6687 [2 per cell]
H 0.3404 0.2446 0.0008 [2 per cell]
H 0.4243 0.8052 0.9100 [2 per cell]
O 0.0000 0.5000 0.0000 [1 per cell]
O 0.0195 0.5583 0.7044 [2 per cell]
O 0.1916 0.2354 0.8017 [2 per cell]
O 0.2663 0.9166 0.5868 [2 per cell]
O 0.3171 0.7894 0.2302 [2 per cell]
O 0.4017 0.2191 0.1020 [2 per cell]
O 0.4028 0.3371 0.5482 [2 per cell]

Computed properties:
The total moment is 2.00 Bohr magnetons per cell.

=====

A relaxed Na2Cu2Si5H6O16 crystal. Source: Materials Project, functional GGA-PBE.

Cell: 11.3724 5.2615 15.6518 Å, 90.00 130.63 90.00°
Space group Pc (No. 7)
Asymmetric unit:
Na 0.0000 0.2163 0.0000 [2 per cell]
Na 0.3363 0.2323 0.3734 [2 per cell]
Cu 0.1209 0.2630 0.4594 [2 per cell]
Cu 0.2351 0.2588 0.9224 [2 per cell]
Si 0.1815 0.3057 0.6913 [2 per cell]
Si 0.3932 0.4445 0.1739 [2 per cell]
Si 0.5075 0.0438 0.6514 [2 per cell]
Si 0.8519 0.0435 0.7308 [2 per cell]
Si 0.9657 0.4467 0.2075 [2 per cell]
H 0.5347 0.3345 0.9701 [2 per cell]
H 0.6369 0.4771 0.5712 [2 per cell]
H 0.6663 0.0362 0.3924 [2 per cell]
H 0.7306 0.4769 0.8152 [2 per cell]
H 0.7982 0.0003 0.0243 [2 per cell]
H 0.8220 0.3168 0.4104 [2 per cell]
O 0.0326 0.4929 0.1420 [2 per cell]
O 0.1145 0.4258 0.3417 [2 per cell]
O 0.1447 0.1425 0.5890 [2 per cell]
O 0.2229 0.1455 0.7963 [2 per cell]
O 0.2425 0.4231 0.0400 [2 per cell]
O 0.3306 0.4919 0.2424 [2 per cell]
O 0.3695 0.0257 0.5174 [2 per cell]
O 0.4946 0.1785 0.2212 [2 per cell]
O 0.5128 0.3228 0.7039 [2 per cell]
O 0.5297 0.4866 0.0030 [2 per cell]
O 0.6798 0.0137 0.6908 [2 per cell]
O 0.7786 0.0343 0.4542 [2 per cell]
O 0.8356 0.4630 0.3777 [2 per cell]
O 0.8448 0.3216 0.6762 [2 per cell]
O 0.8640 0.1796 0.1600 [2 per cell]
O 0.9949 0.0296 0.8638 [2 per cell]

Computed properties:
The total moment is 3.99 Bohr magnetons per cell.

=====

A relaxed CuHO2 crystal. Source: Materials Project, functional GGA-PBE.

Cell: 6.4857 2.7900 4.4423 Å, 90.00 98.50 90.00°
Space group C2/m (No. 12)
Asymmetric unit:
Cu 0.0000 0.0000 0.0000 [2 per cell]
H 0.0000 0.5000 0.5000 [2 per cell]
O 0.0788 0.5000 0.7645 [4 per cell]

=====

A relaxed CuHO2 crystal. Source: Materials Project, functional GGA-PBE.

Cell: 2.9690 11.9301 4.0307 Å, 90.00 90.00 90.00°
Space group Cmc2_1 (No. 36)
Asymmetric unit:
Cu 0.0000 0.1782 0.0000 [4 per cell]
H 0.0000 0.4817 0.3059 [4 per cell]
O 0.0000 0.2098 0.5023 [4 per cell]
O 0.0000 0.4309 0.5108 [4 per cell]

Computed properties:
The total moment is 4.03 Bohr magnetons per cell.

=====

Density values, unit Mg/m³, following the record order: 3.50, 2.92, 2.69, 4.03, 4.49.
ΔH_f (0 K) values, unit meV per atom, following the record order: -1296, -2243, -2247, -983, -958.